A plane-wave DFT calculation with PBE-GGA was carried out for a relaxed Rb3TbCl6 crystal.

Properties
E	-160.07	eV for the cell shown

Cell and atoms, written as CIF:
```
data_Rb3TbCl6
_chemical_formula_sum 'Rb12 Tb4 Cl24'
_cell_length_a 13.704
_cell_length_b 13.704
_cell_length_c 13.029
_cell_angle_alpha 81.00
_cell_angle_beta 81.00
_cell_angle_gamma 34.03
_space_group_name_H-M_alt 'P 1'
_space_group_IT_number 1
loop_
_space_group_symop_operation_xyz
'x,y,z'
loop_
_atom_site_label
_atom_site_fract_x
_atom_site_fract_y
_atom_site_fract_z
_atom_site_occupancy
Rb1 0.303 0.797 0.067 1
Rb2 0.697 0.203 0.933 1
Rb3 0.203 0.697 0.433 1
Rb4 0.797 0.303 0.567 1
Rb5 0.466 0.842 0.356 1
Rb6 0.534 0.158 0.644 1
Rb7 0.158 0.534 0.144 1
Rb8 0.842 0.466 0.856 1
Rb9 0.651 0.025 0.300 1
Rb10 0.349 0.975 0.700 1
Rb11 0.975 0.349 0.200 1
Rb12 0.025 0.651 0.800 1
Tb1 0.783 0.217 0.250 1
Tb2 0.217 0.783 0.750 1
Tb3 0.500 0.000 0.000 1
Tb4 0.000 0.500 0.500 1
Cl1 0.623 0.722 0.081 1
Cl2 0.377 0.278 0.919 1
Cl3 0.278 0.377 0.419 1
Cl4 0.722 0.623 0.581 1
Cl5 0.496 0.386 0.179 1
Cl6 0.504 0.614 0.821 1
Cl7 0.614 0.504 0.321 1
Cl8 0.386 0.496 0.679 1
Cl9 0.784 0.863 0.034 1
Cl10 0.216 0.137 0.966 1
Cl11 0.137 0.216 0.466 1
Cl12 0.863 0.784 0.534 1
Cl13 0.913 0.969 0.696 1
Cl14 0.087 0.031 0.304 1
Cl15 0.031 0.087 0.804 1
Cl16 0.969 0.913 0.196 1
Cl17 0.717 0.167 0.435 1
Cl18 0.283 0.833 0.565 1
Cl19 0.833 0.283 0.065 1
Cl20 0.167 0.717 0.935 1
Cl21 0.360 0.141 0.186 1
Cl22 0.640 0.859 0.814 1
Cl23 0.859 0.640 0.314 1
Cl24 0.141 0.360 0.686 1
```



A plane-wave DFT calculation with PBE-GGA was carried out for a relaxed K2Y2P3O12 crystal.

Properties
E	-564.72	eV for the cell shown

Cell and atoms, written as CIF:
```
data_K2Y2P3O12
_chemical_formula_sum 'K8 Y8 P12 O48'
_cell_length_a 10.755
_cell_length_b 10.755
_cell_length_c 10.755
_cell_angle_alpha 90.00
_cell_angle_beta 90.00
_cell_angle_gamma 90.00
_space_group_name_H-M_alt 'P 1'
_space_group_IT_number 1
loop_
_space_group_symop_operation_xyz
'x,y,z'
loop_
_atom_site_label
_atom_site_fract_x
_atom_site_fract_y
_atom_site_fract_z
_atom_site_occupancy
K1 0.819 0.819 0.819 1
K2 0.681 0.181 0.319 1
K3 0.181 0.319 0.681 1
K4 0.319 0.681 0.181 1
K5 0.048 0.048 0.048 1
K6 0.452 0.952 0.548 1
K7 0.952 0.548 0.452 1
K8 0.548 0.452 0.952 1
Y1 0.332 0.332 0.332 1
Y2 0.168 0.668 0.832 1
Y3 0.668 0.832 0.168 1
Y4 0.832 0.168 0.668 1
Y5 0.602 0.602 0.602 1
Y6 0.898 0.398 0.102 1
Y7 0.398 0.102 0.898 1
Y8 0.102 0.898 0.398 1
P1 0.015 0.214 0.375 1
P2 0.485 0.786 0.875 1
P3 0.985 0.714 0.125 1
P4 0.375 0.015 0.214 1
P5 0.515 0.286 0.625 1
P6 0.875 0.485 0.786 1
P7 0.125 0.985 0.714 1
P8 0.625 0.515 0.286 1
P9 0.214 0.375 0.015 1
P10 0.714 0.125 0.985 1
P11 0.286 0.625 0.515 1
P12 0.786 0.875 0.485 1
O1 0.273 0.506 0.434 1
O2 0.227 0.494 0.934 1
O3 0.727 0.006 0.066 1
O4 0.434 0.273 0.506 1
O5 0.773 0.994 0.566 1
O6 0.934 0.227 0.494 1
O7 0.066 0.727 0.006 1
O8 0.566 0.773 0.994 1
O9 0.506 0.434 0.273 1
O10 0.006 0.066 0.727 1
O11 0.994 0.566 0.773 1
O12 0.494 0.934 0.227 1
O13 0.017 0.077 0.329 1
O14 0.483 0.923 0.829 1
O15 0.983 0.577 0.171 1
O16 0.329 0.017 0.077 1
O17 0.517 0.423 0.671 1
O18 0.829 0.483 0.923 1
O19 0.171 0.983 0.577 1
O20 0.671 0.517 0.423 1
O21 0.077 0.329 0.017 1
O22 0.577 0.171 0.983 1
O23 0.423 0.671 0.517 1
O24 0.923 0.829 0.483 1
O25 0.045 0.796 0.226 1
O26 0.455 0.204 0.726 1
O27 0.955 0.296 0.274 1
O28 0.226 0.045 0.796 1
O29 0.545 0.704 0.774 1
O30 0.726 0.455 0.204 1
O31 0.274 0.955 0.296 1
O32 0.774 0.545 0.704 1
O33 0.796 0.226 0.045 1
O34 0.296 0.274 0.955 1
O35 0.704 0.774 0.545 1
O36 0.204 0.726 0.455 1
O37 0.149 0.258 0.403 1
O38 0.351 0.742 0.903 1
O39 0.851 0.758 0.097 1
O40 0.403 0.149 0.258 1
O41 0.649 0.242 0.597 1
O42 0.903 0.351 0.742 1
O43 0.097 0.851 0.758 1
O44 0.597 0.649 0.242 1
O45 0.258 0.403 0.149 1
O46 0.758 0.097 0.851 1
O47 0.242 0.597 0.649 1
O48 0.742 0.903 0.351 1
```



A plane-wave DFT calculation with PBE-GGA was carried out for a relaxed TaN2Cl5 crystal.

Properties
E	-142.27	eV for the cell shown

Cell and atoms, written as CIF:
```
data_TaN2Cl5
_chemical_formula_sum 'Ta4 N8 Cl20'
_cell_length_a 7.100
_cell_length_b 7.100
_cell_length_c 18.638
_cell_angle_alpha 90.00
_cell_angle_beta 90.00
_cell_angle_gamma 90.00
_space_group_name_H-M_alt 'P 1'
_space_group_IT_number 1
loop_
_space_group_symop_operation_xyz
'x,y,z'
loop_
_atom_site_label
_atom_site_fract_x
_atom_site_fract_y
_atom_site_fract_z
_atom_site_occupancy
Ta1 0.500 0.500 0.385 1
Ta2 0.000 0.000 0.885 1
Ta3 0.500 0.500 0.615 1
Ta4 0.000 0.000 0.115 1
N1 0.500 0.500 0.500 1
N2 0.000 0.000 0.000 1
N3 0.500 0.000 0.250 1
N4 0.000 0.500 0.750 1
N5 0.000 0.500 0.250 1
N6 0.500 0.000 0.750 1
N7 0.500 0.500 0.000 1
N8 0.000 0.000 0.500 1
Cl1 0.766 0.695 0.399 1
Cl2 0.234 0.305 0.399 1
Cl3 0.734 0.195 0.899 1
Cl4 0.266 0.805 0.899 1
Cl5 0.695 0.234 0.399 1
Cl6 0.305 0.766 0.399 1
Cl7 0.195 0.266 0.899 1
Cl8 0.805 0.734 0.899 1
Cl9 0.234 0.305 0.601 1
Cl10 0.766 0.695 0.601 1
Cl11 0.266 0.805 0.101 1
Cl12 0.734 0.195 0.101 1
Cl13 0.305 0.766 0.601 1
Cl14 0.695 0.234 0.601 1
Cl15 0.805 0.734 0.101 1
Cl16 0.195 0.266 0.101 1
Cl17 0.500 0.500 0.261 1
Cl18 0.000 0.000 0.761 1
Cl19 0.500 0.500 0.739 1
Cl20 0.000 0.000 0.239 1
```



A plane-wave DFT calculation with PBE-GGA was carried out for a relaxed Y2Ge2O7 crystal.

Properties
largest piezoelectric modulus	0.099	C/m2
relative energy among the computed polymorphs	0	meV/atom

Cell and atoms, written as CIF:
```
data_Y2Ge2O7
_chemical_formula_sum 'Y8 Ge8 O28'
_cell_length_a 6.888
_cell_length_b 6.888
_cell_length_c 12.544
_cell_angle_alpha 90.00
_cell_angle_beta 90.00
_cell_angle_gamma 90.00
_space_group_name_H-M_alt 'P 1'
_space_group_IT_number 1
loop_
_space_group_symop_operation_xyz
'x,y,z'
loop_
_atom_site_label
_atom_site_fract_x
_atom_site_fract_y
_atom_site_fract_z
_atom_site_occupancy
Y1 0.124 0.648 0.865 1
Y2 0.876 0.352 0.365 1
Y3 0.648 0.124 0.135 1
Y4 0.148 0.376 0.115 1
Y5 0.852 0.624 0.615 1
Y6 0.376 0.148 0.885 1
Y7 0.624 0.852 0.385 1
Y8 0.352 0.876 0.635 1
Ge1 0.153 0.901 0.120 1
Ge2 0.847 0.099 0.620 1
Ge3 0.901 0.153 0.880 1
Ge4 0.401 0.347 0.370 1
Ge5 0.599 0.653 0.870 1
Ge6 0.347 0.401 0.630 1
Ge7 0.653 0.599 0.130 1
Ge8 0.099 0.847 0.380 1
O1 0.143 0.685 0.045 1
O2 0.857 0.315 0.545 1
O3 0.685 0.143 0.955 1
O4 0.185 0.357 0.295 1
O5 0.815 0.643 0.795 1
O6 0.357 0.185 0.705 1
O7 0.643 0.815 0.205 1
O8 0.315 0.857 0.455 1
O9 0.338 0.064 0.071 1
O10 0.662 0.936 0.571 1
O11 0.064 0.338 0.929 1
O12 0.564 0.162 0.321 1
O13 0.436 0.838 0.821 1
O14 0.162 0.564 0.679 1
O15 0.838 0.436 0.179 1
O16 0.936 0.662 0.429 1
O17 0.196 0.804 0.250 1
O18 0.696 0.696 0.000 1
O19 0.304 0.304 0.500 1
O20 0.804 0.196 0.750 1
O21 0.921 0.031 0.376 1
O22 0.469 0.421 0.126 1
O23 0.531 0.579 0.626 1
O24 0.421 0.469 0.874 1
O25 0.579 0.531 0.374 1
O26 0.079 0.969 0.876 1
O27 0.031 0.921 0.624 1
O28 0.969 0.079 0.124 1
```



In the order shown, the computed calculated volume values come out to 33.77; 16.37; 29.36; 13.52 Å³ per atom.